Record 1
An optimized crystal structure of Cu3Mo2O9. Source: the Materials Project database, functional PBE with a Hubbard U.

Geometry as CIF:
```
data_Cu3Mo2O9
_chemical_formula_sum 'Cu12 Mo8 O36'
_cell_length_a 7.738
_cell_length_b 6.915
_cell_length_c 14.826
_cell_angle_alpha 90.00
_cell_angle_beta 90.00
_cell_angle_gamma 90.00
_space_group_name_H-M_alt 'P n m a'
_space_group_IT_number 62
loop_
_space_group_symop_operation_xyz
'x,y,z'
'-x,-y,-z'
'-x+1/2,-y,z+1/2'
'x+1/2,y,-z+1/2'
'x+1/2,-y+1/2,-z+1/2'
'-x+1/2,y+1/2,z+1/2'
'-x,y+1/2,-z'
'x,-y+1/2,z'
loop_
_atom_site_label
_atom_site_type_symbol
_atom_site_fract_x
_atom_site_fract_y
_atom_site_fract_z
Cu1 Cu 0.000 0.000 0.000
Cu2 Cu 0.164 0.250 0.143
Cu3 Cu 0.204 0.750 0.436
Mo1 Mo 0.158 0.250 0.387
Mo2 Mo 0.235 0.250 0.669
O1 O 0.031 0.250 0.611
O2 O 0.067 0.750 0.596
O3 O 0.087 0.250 0.017
O4 O 0.139 0.535 0.137
O5 O 0.196 0.250 0.785
O6 O 0.208 0.250 0.270
O7 O 0.246 0.534 0.940
```

Properties
Density (g/cm³): 4.41
DFT formation energy (eV per atom): -1.47


Record 2
An optimized crystal structure of Cu3Mo4O12. Source: the Materials Project database, functional PBE with a Hubbard U.

Geometry as CIF:
```
data_Cu3Mo4O12
_chemical_formula_sum 'Cu3 Mo4 O12'
_cell_length_a 6.559
_cell_length_b 6.567
_cell_length_c 6.575
_cell_angle_alpha 109.52
_cell_angle_beta 109.41
_cell_angle_gamma 109.37
_space_group_name_H-M_alt 'P -1'
_space_group_IT_number 2
loop_
_space_group_symop_operation_xyz
'x,y,z'
'-x,-y,-z'
loop_
_atom_site_label
_atom_site_type_symbol
_atom_site_fract_x
_atom_site_fract_y
_atom_site_fract_z
Cu1 Cu 0.000 0.000 0.000
Cu2 Cu 0.000 0.500 0.500
Cu3 Cu 0.500 0.000 0.500
Mo1 Mo 0.000 0.000 0.500
Mo2 Mo 0.000 0.500 0.000
Mo3 Mo 0.500 0.000 0.000
Mo4 Mo 0.500 0.500 0.500
O1 O 0.007 0.311 0.680
O2 O 0.182 0.368 0.175
O3 O 0.185 0.008 0.816
O4 O 0.322 0.192 0.508
O5 O 0.329 0.821 0.133
O6 O 0.366 0.686 0.693
```

Properties
Density (g/cm³): 5.83
DFT formation energy (eV per atom): -1.65


Record 3
An optimized crystal structure of Cu3Mo2O9. Source: the Materials Project database, functional PBE with a Hubbard U.

Geometry as CIF:
```
data_Cu3Mo2O9
_chemical_formula_sum 'Cu12 Mo8 O36'
_cell_length_a 7.761
_cell_length_b 14.881
_cell_length_c 6.891
_cell_angle_alpha 90.00
_cell_angle_beta 90.00
_cell_angle_gamma 90.00
_space_group_name_H-M_alt 'P n a 21'
_space_group_IT_number 33
loop_
_space_group_symop_operation_xyz
'x,y,z'
'-x,-y,z+1/2'
'-x+1/2,y+1/2,z+1/2'
'x+1/2,-y+1/2,z'
loop_
_atom_site_label
_atom_site_type_symbol
_atom_site_fract_x
_atom_site_fract_y
_atom_site_fract_z
Cu1 Cu 0.003 0.002 0.000
Cu2 Cu 0.163 0.141 0.258
Cu3 Cu 0.203 0.435 0.753
Mo1 Mo 0.154 0.386 0.252
Mo2 Mo 0.238 0.666 0.252
O1 O 0.033 0.610 0.248
O2 O 0.069 0.595 0.745
O3 O 0.089 0.015 0.252
O4 O 0.132 0.131 0.541
O5 O 0.142 0.134 0.971
O6 O 0.195 0.268 0.258
O7 O 0.202 0.781 0.245
O8 O 0.245 0.936 0.537
O9 O 0.248 0.438 0.468
```

Properties
Density (g/cm³): 4.39
DFT formation energy (eV per atom): -1.48


| no. | E above lowest polymorph (meV per atom) |
| --- | --- |
| 1 | 5.7 |
| 2 | 0.0 |
| 3 | 0.0 |